Entry 1:
POsSe PBE-GGA relaxed; formation energy = -0.470 eV per atom; space-group type = P2_1/c, No. 14
1.0
5.992 0.000 0.000
0.000 5.985 0.000
-2.293 0.000 5.637
P Os Se
4 4 4
Direct
0.143 0.130 0.384
0.143 0.370 0.884
0.857 0.630 0.116
0.857 0.870 0.616
0.263 0.012 0.791
0.263 0.488 0.291
0.737 0.512 0.709
0.737 0.988 0.209
0.335 0.625 0.694
0.335 0.875 0.194
0.665 0.125 0.806
0.665 0.375 0.306

Entry 2:
CeSnO4 PBE-GGA relaxed; formation energy = -2.829 eV per atom; space-group type = R-3m, No. 166
1.0
1.869 1.079 6.258
-1.869 1.079 6.258
0.000 -2.158 6.258
Ce Sn O
1 1 4
Direct
0.000 0.000 0.000
0.500 0.500 0.500
0.130 0.130 0.130
0.379 0.379 0.379
0.621 0.621 0.621
0.870 0.870 0.870

Entry 3:
GdSbO4 PBE-GGA relaxed; formation energy = -2.714 eV per atom; space-group type = P-1, No. 2
1.0
5.387 0.000 0.000
0.826 7.415 0.000
0.212 0.593 8.125
Gd Sb O
4 4 16
Direct
0.233 0.367 0.363
0.234 0.331 0.894
0.766 0.669 0.106
0.767 0.633 0.637
0.219 0.870 0.783
0.242 0.830 0.334
0.758 0.170 0.666
0.781 0.130 0.217
0.018 0.346 0.616
0.024 0.906 0.130
0.043 0.645 0.856
0.088 0.081 0.370
0.374 0.780 0.565
0.428 0.083 0.755
0.428 0.607 0.257
0.484 0.263 0.114
0.516 0.737 0.886
0.572 0.393 0.743
0.572 0.917 0.245
0.626 0.220 0.435
0.912 0.919 0.630
0.957 0.355 0.144
0.976 0.094 0.870
0.982 0.654 0.384

Entry 4:
Th3Al2 PBE-GGA relaxed; formation energy = -0.229 eV per atom; space-group type = P4/mbm, No. 127
1.0
8.103 0.000 0.000
0.000 8.103 0.000
0.000 0.000 4.245
Th Al
6 4
Direct
0.000 0.000 0.000
0.176 0.324 0.500
0.324 0.824 0.500
0.500 0.500 0.000
0.676 0.176 0.500
0.824 0.676 0.500
0.118 0.618 0.000
0.382 0.118 0.000
0.618 0.882 0.000
0.882 0.382 0.000

Entry 5:
Si5Pb2N8 PBE-GGA relaxed; formation energy = -0.910 eV per atom; space-group type = Pbca, No. 61
1.0
9.893 0.000 0.000
0.000 13.874 0.000
0.000 0.000 10.960
Si Pb N
40 16 64
Direct
0.002 0.208 0.026
0.002 0.292 0.526
0.024 0.665 0.755
0.024 0.835 0.255
0.139 0.034 0.181
0.139 0.466 0.681
0.232 0.223 0.339
0.232 0.277 0.839
0.236 0.162 0.605
0.236 0.338 0.105
0.264 0.662 0.605
0.264 0.838 0.105
0.268 0.723 0.339
0.268 0.777 0.839
0.361 0.534 0.181
0.361 0.966 0.681
0.476 0.165 0.755
0.476 0.335 0.255
0.498 0.708 0.026
0.498 0.792 0.526
0.502 0.208 0.474
0.502 0.292 0.974
0.524 0.665 0.745
0.524 0.835 0.245
0.639 0.034 0.319
0.639 0.466 0.819
0.732 0.223 0.161
0.732 0.277 0.661
0.736 0.162 0.895
0.736 0.338 0.395
0.764 0.662 0.895
0.764 0.838 0.395
0.768 0.723 0.161
0.768 0.777 0.661
0.861 0.534 0.319
0.861 0.966 0.819
0.976 0.165 0.745
0.976 0.335 0.245
0.998 0.708 0.474
0.998 0.792 0.974
0.071 0.579 0.112
0.071 0.921 0.612
0.164 0.018 0.898
0.164 0.482 0.398
0.336 0.518 0.898
0.336 0.982 0.398
0.429 0.079 0.112
0.429 0.421 0.612
0.571 0.579 0.388
0.571 0.921 0.888
0.664 0.018 0.602
0.664 0.482 0.102
0.836 0.518 0.602
0.836 0.982 0.102
0.929 0.079 0.388
0.929 0.421 0.888
0.033 0.096 0.084
0.033 0.404 0.584
0.046 0.543 0.772
0.046 0.957 0.272
0.093 0.702 0.613
0.093 0.798 0.113
0.104 0.731 0.870
0.104 0.769 0.370
0.149 0.197 0.739
0.149 0.221 0.485
0.149 0.279 0.985
0.149 0.303 0.239
0.242 0.112 0.267
0.242 0.388 0.767
0.247 0.038 0.595
0.247 0.462 0.095
0.253 0.538 0.595
0.253 0.962 0.095
0.258 0.612 0.267
0.258 0.888 0.767
0.351 0.697 0.739
0.351 0.721 0.485
0.351 0.779 0.985
0.351 0.803 0.239
0.396 0.231 0.870
0.396 0.269 0.370
0.407 0.202 0.613
0.407 0.298 0.113
0.454 0.043 0.772
0.454 0.457 0.272
0.467 0.596 0.084
0.467 0.904 0.584
0.533 0.096 0.416
0.533 0.404 0.916
0.546 0.543 0.728
0.546 0.957 0.228
0.593 0.702 0.887
0.593 0.798 0.387
0.604 0.731 0.630
0.604 0.769 0.130
0.649 0.197 0.761
0.649 0.221 0.015
0.649 0.279 0.515
0.649 0.303 0.261
0.742 0.112 0.233
0.742 0.388 0.733
0.747 0.038 0.905
0.747 0.462 0.405
0.753 0.538 0.905
0.753 0.962 0.405
0.758 0.612 0.233
0.758 0.888 0.733
0.851 0.697 0.761
0.851 0.721 0.015
0.851 0.779 0.515
0.851 0.803 0.261
0.896 0.231 0.630
0.896 0.269 0.130
0.907 0.202 0.887
0.907 0.298 0.387
0.954 0.043 0.728
0.954 0.457 0.228
0.967 0.596 0.416
0.967 0.904 0.916

Entry 6:
CsMg6SiO8 PBE-GGA relaxed; formation energy = -2.190 eV per atom; space-group type = P4/mmm, No. 123
1.0
4.898 0.000 0.000
0.000 4.898 0.000
0.000 0.000 8.365
Cs Mg Si O
1 6 1 8
Direct
0.000 0.000 0.000
0.000 0.500 0.253
0.000 0.500 0.747
0.500 0.000 0.253
0.500 0.000 0.747
0.500 0.500 0.000
0.500 0.500 0.500
0.000 0.000 0.500
0.000 0.000 0.305
0.000 0.000 0.695
0.000 0.500 0.000
0.000 0.500 0.500
0.500 0.000 0.000
0.500 0.000 0.500
0.500 0.500 0.252
0.500 0.500 0.748